(1)
Compound: Sr2YV2GaO7
Source: Materials Project
Functional: PBE with a Hubbard U
Structure: optimized geometry

Cell and atoms, written as POSCAR:
```
Sr2YV2GaO7
1.0
9.669 1.531 7.149
11.432 3.381 2.193
-0.525 5.366 1.817
O Ga Sr V Y
14 2 4 4 2
Cartesian
14.027 5.297 7.134
8.201 5.988 6.764
11.470 3.340 6.938
9.076 6.982 4.309
6.456 4.884 4.286
8.555 3.350 5.819
12.060 6.874 5.242
11.164 6.030 7.748
9.424 4.357 3.364
17.293 5.165 8.208
15.167 8.154 9.186
3.212 5.038 3.151
12.359 4.198 4.437
4.991 1.685 3.149
15.804 4.736 7.149
4.908 5.686 3.627
3.074 2.739 2.057
7.222 2.672 3.521
13.380 7.634 7.565
17.535 7.575 9.008
0.997 5.325 2.344
8.795 5.159 5.059
19.578 4.953 8.816
11.780 5.117 6.105
11.166 6.060 3.113
10.549 2.454 4.677
```

## Properties
- energy relative to the elements (eV/f.u.) = -35.329


(2)
Compound: Sr2GaW2O7
Source: Materials Project
Functional: PBE with a Hubbard U
Structure: optimized geometry

Cell and atoms, written as POSCAR:
```
Sr2GaW2O7
1.0
-5.562 0.000 0.000
-0.002 -5.713 0.000
2.778 2.843 11.400
O W Sr Ga
14 4 4 2
Cartesian
-4.219 -1.502 1.581
-3.445 -3.606 5.703
-4.209 -4.302 1.824
-1.382 -4.221 1.688
-0.148 -2.560 7.344
-1.390 -1.406 1.691
1.382 -1.457 9.705
-2.900 -0.267 4.001
-1.411 1.414 9.575
-1.352 -1.481 9.821
1.315 1.462 9.695
-0.660 0.722 5.694
-2.889 -0.258 7.409
-0.131 -2.572 4.037
-0.019 -2.868 1.422
-2.799 -0.006 9.930
-0.024 -2.879 9.981
-2.808 0.005 1.464
-2.770 -2.747 7.921
0.005 -0.128 3.480
-2.772 -2.743 3.475
0.003 -0.132 7.920
-2.554 0.424 5.702
0.214 -3.286 5.696
```

## Properties
- energy relative to the elements (eV/f.u.) = -27.567


(3)
Compound: VGaTe2O8
Source: Materials Project
Functional: PBE with a Hubbard U
Structure: optimized geometry

Cell and atoms, written as POSCAR:
```
VGaTe2O8
1.0
8.105 0.000 0.000
0.000 5.021 0.000
-6.863 0.000 16.660
O Ga Te V
32 4 8 4
Cartesian
-0.511 2.007 13.675
-2.706 0.638 15.296
1.909 0.340 10.653
-4.098 2.850 14.338
2.197 4.498 7.802
2.920 0.503 5.345
0.473 0.353 3.555
-5.410 0.306 15.025
-0.954 0.522 8.859
2.477 1.988 0.528
-0.883 2.869 4.177
-1.678 4.517 11.315
3.222 2.817 9.965
6.653 4.714 1.635
-4.315 4.662 12.507
4.201 2.863 4.776
3.948 4.383 1.364
0.517 3.148 9.694
0.726 1.873 6.966
-0.666 4.681 6.008
1.754 3.014 2.985
0.769 4.668 13.106
-1.979 2.204 6.695
-2.958 2.158 11.885
-3.697 0.441 9.617
4.940 4.580 7.043
2.126 2.151 12.484
-1.234 3.033 16.132
5.340 2.170 2.323
-0.266 2.070 1.287
5.558 0.359 4.153
1.508 2.951 15.373
-1.097 1.206 2.913
5.772 3.716 5.417
2.340 3.815 13.748
-4.529 1.304 11.243
0.489 1.183 12.033
3.920 1.327 3.703
1.191 3.296 1.156
-2.678 3.694 12.957
-2.241 4.235 9.486
0.052 1.724 15.504
0.754 3.837 4.627
3.483 0.786 7.174
5.399 3.616 1.206
-4.156 1.405 15.454
-0.725 1.105 7.124
1.968 3.915 9.537
```

## Properties
- energy relative to the elements (eV/f.u.) = -22.760


(4)
Compound: VGaO3
Source: Materials Project
Functional: PBE with a Hubbard U
Structure: optimized geometry

Cell and atoms, written as POSCAR:
```
VGaO3
1.0
5.136 0.000 0.000
0.000 7.876 0.000
0.000 0.000 5.139
O V Ga
12 4 4
Cartesian
1.698 0.589 3.378
4.505 1.969 1.911
1.698 3.349 3.378
3.438 4.527 1.761
3.199 5.907 4.480
4.266 0.589 4.331
1.937 1.969 0.659
3.438 7.287 1.761
0.631 5.907 3.229
0.870 7.287 0.809
4.265 3.349 4.331
0.870 4.527 0.809
2.568 7.876 0.000
5.136 3.938 2.570
2.568 3.938 5.139
0.000 0.000 2.570
0.061 1.969 0.080
2.629 1.969 2.490
2.507 5.907 2.650
5.075 5.907 5.059
```

## Properties
- energy relative to the elements (eV/f.u.) = -11.549


(5)
Compound: V3Zn2GaO11
Source: Materials Project
Functional: PBE with a Hubbard U
Structure: optimized geometry

Cell and atoms, written as POSCAR:
```
V3Zn2GaO11
1.0
-3.646 -5.103 -1.954
1.581 -1.862 6.487
-6.987 6.830 2.217
O V Zn Ga
22 6 4 2
Cartesian
-4.499 0.698 6.745
-6.050 -1.203 2.416
-4.554 -0.833 0.005
-3.003 1.068 4.334
-9.105 1.109 4.517
-4.136 -3.798 1.142
-3.353 2.291 0.752
0.052 -1.244 2.233
-5.700 -2.427 5.998
-1.274 -1.083 4.538
-5.118 2.220 2.880
-4.917 3.663 5.609
-3.935 -2.355 3.870
-9.375 2.359 0.750
-6.350 0.316 4.745
0.322 -2.494 6.001
-2.702 -0.451 2.005
-7.593 3.024 5.899
-6.048 4.597 1.982
-1.460 -3.159 0.851
-7.779 0.948 2.212
-3.004 -4.732 4.769
-7.465 5.033 2.813
-4.908 3.063 1.463
-1.886 0.189 3.456
-1.588 -5.168 3.937
-4.145 -3.198 5.287
-7.167 -0.324 3.294
-6.078 -0.588 6.658
-4.845 1.717 4.883
-2.974 0.453 0.092
-4.208 -1.852 1.867
0.345 -2.197 4.020
-9.398 2.061 2.730
```

## Properties
- energy relative to the elements (eV/f.u.) = -37.473


(6)
Compound: Ga2W3O12
Source: Materials Project
Functional: PBE with a Hubbard U
Structure: optimized geometry

Cell and atoms, written as POSCAR:
```
Ga2W3O12
1.0
9.394 0.000 0.000
0.000 9.472 0.000
0.000 0.000 13.054
O Ga W
48 8 12
Cartesian
1.313 8.293 7.418
7.688 9.455 3.121
3.384 1.179 0.892
0.830 3.873 11.157
0.830 0.863 1.897
1.706 4.719 3.121
1.313 5.915 5.635
3.923 7.955 1.196
3.362 1.917 8.766
8.060 2.819 2.240
5.471 3.219 1.196
5.527 0.863 4.630
1.638 8.795 12.795
7.756 4.059 12.795
2.991 4.753 9.648
1.638 5.413 0.259
5.527 3.873 8.424
3.059 4.059 6.786
6.032 6.653 8.766
5.471 1.517 11.858
2.991 9.455 3.406
6.010 8.293 12.162
3.867 8.610 8.424
6.032 7.555 4.287
6.335 5.413 6.268
8.621 7.955 5.331
0.774 1.517 7.722
3.923 6.253 11.858
3.384 3.557 12.162
7.756 0.677 0.259
6.335 8.795 6.786
8.565 5.599 1.897
1.335 6.653 10.814
8.565 8.610 11.157
6.403 0.017 9.648
0.774 3.219 5.331
8.060 1.917 10.814
3.059 0.677 6.268
6.010 5.915 0.892
3.867 5.599 4.630
6.403 4.719 3.406
8.081 3.557 7.418
8.081 1.179 5.635
1.706 0.017 9.932
3.362 2.819 4.287
8.621 6.253 7.722
7.688 4.753 9.932
1.335 7.555 2.240
7.040 4.386 1.590
7.051 9.122 4.937
2.354 5.086 11.463
2.354 9.122 1.590
2.343 4.386 4.937
7.051 5.086 8.117
2.343 0.350 8.117
7.040 0.350 11.463
3.729 3.657 8.411
9.109 2.368 6.527
0.285 7.104 6.527
4.412 2.368 0.000
5.665 5.815 4.642
0.968 8.393 11.169
5.665 8.393 8.411
8.426 1.079 1.885
4.982 7.104 0.000
0.968 5.815 1.885
3.729 1.079 4.642
8.426 3.657 11.169
```

## Properties
- energy relative to the elements (eV/f.u.) = -35.988


(7)
Compound: GaW12O40
Source: Materials Project
Functional: PBE with a Hubbard U
Structure: optimized geometry

Cell and atoms, written as POSCAR:
```
GaW12O40
1.0
-9.124 9.124 9.124
9.124 -9.124 9.124
9.124 9.124 -9.124
O W Ga
40 12 1
Cartesian
1.152 1.152 3.012
-1.152 1.152 15.236
15.236 -1.152 1.152
0.140 3.769 3.769
-5.355 8.984 5.355
15.236 1.152 -1.152
3.769 0.140 3.769
1.055 -1.055 1.055
-1.515 3.486 1.515
7.609 5.638 7.609
1.152 -1.152 15.236
-5.355 5.355 8.984
3.486 1.515 -1.515
7.972 -6.112 7.972
5.355 -5.355 8.984
5.355 9.264 5.355
1.515 -1.515 3.486
9.264 5.355 5.355
1.152 3.012 1.152
-1.152 15.236 1.152
3.012 1.152 1.152
1.515 1.515 14.762
5.638 7.609 7.609
5.355 5.355 9.264
3.769 3.769 0.140
1.152 15.236 -1.152
-6.112 7.972 7.972
1.055 1.055 -1.055
8.984 5.355 -5.355
8.069 8.069 8.069
14.762 1.515 1.515
-1.055 1.055 1.055
7.609 7.609 5.638
7.972 7.972 -6.112
5.355 8.984 -5.355
3.486 -1.515 1.515
-1.515 1.515 3.486
1.515 3.486 -1.515
1.515 14.762 1.515
8.984 -5.355 5.355
-6.566 6.566 9.250
6.566 6.566 8.998
9.250 6.566 -6.566
9.250 -6.566 6.566
-0.126 2.558 2.558
-6.566 9.250 6.566
6.566 9.250 -6.566
2.558 2.558 -0.126
2.558 -0.126 2.558
6.566 -6.566 9.250
6.566 8.998 6.566
8.998 6.566 6.566
0.000 0.000 0.000
```

## Properties
- energy relative to the elements (eV/f.u.) = -100.805


(8)
Compound: GaW12O40
Source: Materials Project
Functional: PBE with a Hubbard U
Structure: optimized geometry

Cell and atoms, written as POSCAR:
```
GaW12O40
1.0
-6.546 11.293 8.434
4.543 -11.511 9.400
10.285 5.434 10.216
W O Ga
12 40 1
Cartesian
2.481 3.881 13.474
1.920 1.386 10.670
6.333 5.413 8.807
2.967 3.706 8.379
7.218 1.981 13.953
5.552 5.405 13.808
4.466 0.624 8.509
8.396 4.567 11.429
6.685 -0.297 11.454
7.873 2.247 8.941
4.133 0.483 13.618
3.517 6.217 11.178
3.818 4.836 14.547
3.600 2.069 7.504
3.895 2.317 9.994
4.632 6.742 12.712
5.369 -0.216 10.024
7.416 -1.858 11.223
6.237 3.638 14.284
4.383 4.312 12.141
9.886 5.312 11.920
6.184 1.529 8.285
1.812 2.841 11.966
5.255 -0.829 12.691
4.511 -0.610 7.286
8.303 1.870 15.304
2.752 7.736 10.817
7.735 0.360 12.982
3.351 2.222 13.985
0.358 0.632 10.805
2.747 0.184 9.351
7.409 3.942 8.016
2.066 4.417 7.073
7.751 0.868 10.292
2.480 12.908 16.237
4.747 4.483 8.160
5.130 6.258 10.064
3.305 -0.553 14.738
1.118 3.944 14.548
1.531 2.684 9.245
7.069 5.426 12.582
2.953 0.494 12.066
11.130 -4.882 16.990
7.845 5.793 10.002
2.815 5.035 9.801
6.091 6.418 15.112
8.212 3.075 12.682
6.566 3.627 10.261
9.066 3.282 10.108
2.174 5.506 12.423
5.675 1.019 14.709
5.692 1.621 12.255
5.127 2.966 11.165
```

## Properties
- energy relative to the elements (eV/f.u.) = -100.708


(9)
Compound: Gd2MnGe4O12
Source: Materials Project
Functional: PBE with a Hubbard U
Structure: optimized geometry

Cell and atoms, written as POSCAR:
```
Gd2MnGe4O12
1.0
0.000 0.000 5.056
10.106 -0.060 0.000
-0.060 10.106 0.000
O Gd Ge Mn
24 4 8 2
Cartesian
3.690 6.356 4.206
6.721 5.619 3.731
6.341 1.258 4.213
1.258 6.341 0.842
9.435 6.735 3.802
1.712 4.412 3.802
4.412 1.712 1.253
1.273 8.773 4.206
6.356 3.690 0.850
3.325 4.427 1.324
5.634 8.334 3.802
4.427 3.325 3.731
3.705 8.788 0.842
9.450 8.348 1.324
0.611 3.311 1.253
8.348 9.450 3.731
8.334 5.634 1.253
5.619 6.721 1.324
1.698 0.596 1.324
8.773 1.273 0.850
3.311 0.611 3.802
6.735 9.435 1.253
8.788 3.705 4.213
0.596 1.698 3.731
2.512 2.512 2.528
-0.030 5.053 2.528
7.535 7.535 2.528
5.053 -0.030 2.528
2.535 5.275 0.029
4.771 7.511 0.029
0.192 7.618 0.029
2.428 9.854 0.029
5.275 2.535 5.027
9.854 2.428 5.027
7.618 0.192 5.027
7.511 4.771 5.027
0.000 0.000 2.528
5.023 5.023 2.528
```

## Properties
- energy relative to the elements (eV/f.u.) = -50.056


What did the sixth record say?
Compound: Ga2W3O12
Source: Materials Project
Functional: PBE with a Hubbard U
Structure: optimized geometry

Cell and atoms, written as POSCAR:
```
Ga2W3O12
1.0
9.394 0.000 0.000
0.000 9.472 0.000
0.000 0.000 13.054
O Ga W
48 8 12
Cartesian
1.313 8.293 7.418
7.688 9.455 3.121
3.384 1.179 0.892
0.830 3.873 11.157
0.830 0.863 1.897
1.706 4.719 3.121
1.313 5.915 5.635
3.923 7.955 1.196
3.362 1.917 8.766
8.060 2.819 2.240
5.471 3.219 1.196
5.527 0.863 4.630
1.638 8.795 12.795
7.756 4.059 12.795
2.991 4.753 9.648
1.638 5.413 0.259
5.527 3.873 8.424
3.059 4.059 6.786
6.032 6.653 8.766
5.471 1.517 11.858
2.991 9.455 3.406
6.010 8.293 12.162
3.867 8.610 8.424
6.032 7.555 4.287
6.335 5.413 6.268
8.621 7.955 5.331
0.774 1.517 7.722
3.923 6.253 11.858
3.384 3.557 12.162
7.756 0.677 0.259
6.335 8.795 6.786
8.565 5.599 1.897
1.335 6.653 10.814
8.565 8.610 11.157
6.403 0.017 9.648
0.774 3.219 5.331
8.060 1.917 10.814
3.059 0.677 6.268
6.010 5.915 0.892
3.867 5.599 4.630
6.403 4.719 3.406
8.081 3.557 7.418
8.081 1.179 5.635
1.706 0.017 9.932
3.362 2.819 4.287
8.621 6.253 7.722
7.688 4.753 9.932
1.335 7.555 2.240
7.040 4.386 1.590
7.051 9.122 4.937
2.354 5.086 11.463
2.354 9.122 1.590
2.343 4.386 4.937
7.051 5.086 8.117
2.343 0.350 8.117
7.040 0.350 11.463
3.729 3.657 8.411
9.109 2.368 6.527
0.285 7.104 6.527
4.412 2.368 0.000
5.665 5.815 4.642
0.968 8.393 11.169
5.665 8.393 8.411
8.426 1.079 1.885
4.982 7.104 0.000
0.968 5.815 1.885
3.729 1.079 4.642
8.426 3.657 11.169
```

## Properties
- energy relative to the elements (eV/f.u.) = -35.988


Question: The highest energy relative to the elements belongs to which entry?
Answer: VGaO3